{"formula": "K3In", "functional": "PBE", "state": "optimized geometry", "lattice": [[0.000, 4.613, 4.613], [4.613, 0.000, 4.613], [4.613, 4.613, 0.000]], "species": ["K", "In", "K", "K"], "fractional_positions": [[0.750, 0.750, 0.750], [0.000, 0.000, 0.000], [0.500, 0.500, 0.500], [0.250, 0.250, 0.250]], "final_energy_ev_per_atom": -1.46, "formation_enthalpy_0k_ev_per_fu": 0.3, "volume_a3_per_cell": 196.32, "e_above_lowest_polymorph_ev_per_fu": 0.014, "sg": "Fm-3m, No. 225"}

=====

{"formula": "K3In", "functional": "PBE", "state": "optimized geometry", "lattice": [[-3.431, 0.627, 4.675], [-4.560, -1.920, -3.089], [1.207, -5.472, 1.620]], "species": ["K", "In", "K", "K"], "fractional_positions": [[0.500, 0.000, 0.500], [0.000, 0.000, 0.000], [0.500, 0.500, 0.000], [0.000, 0.500, 0.500]], "final_energy_ev_per_atom": -1.45, "formation_enthalpy_0k_ev_per_fu": 0.3, "volume_a3_per_cell": 198.40, "e_above_lowest_polymorph_ev_per_fu": 0.027, "sg": "Pm-3m, No. 221"}

=====

{"formula": "KLaNbInO6", "functional": "PBE", "state": "optimized geometry", "lattice": [[3.241, 2.516, 4.151], [2.962, 4.890, -1.174], [-1.688, 5.069, 2.349]], "species": ["O", "La", "O", "O", "O", "In", "O", "Nb", "O", "K"], "fractional_positions": [[0.742, 0.258, 0.258], [0.750, 0.750, 0.750], [0.258, 0.742, 0.258], [0.742, 0.742, 0.258], [0.258, 0.742, 0.742], [0.000, 0.000, 0.000], [0.258, 0.258, 0.742], [0.500, 0.500, 0.500], [0.742, 0.258, 0.742], [0.250, 0.250, 0.250]], "final_energy_ev_per_atom": -7.22, "formation_enthalpy_0k_ev_per_fu": -27.7, "volume_a3_per_cell": 140.56, "corrected_energy_ev_per_atom": -7.633, "sg": "F-43m, No. 216"}